{
  "formula": "Mn3NiO10",
  "functional": "PBE+U",
  "state": "optimized geometry",
  "volume_a3_per_cell": 346.0,
  "formation_enthalpy_0k_ev_per_atom": -1.014,
  "dft_energy_ev_per_atom": -5.8944,
  "energy_mp2020_ev_per_cell": -193.87,
  "lattice": [[3.8109, 2.2002, 6.8768], [-3.8109, 2.2002, 6.8768], [0.0000, -4.4005, 6.8768]],
  "species": ["Mn", "Mn", "Mn", "Mn", "Mn", "Mn", "Ni", "Ni", "O", "O", "O", "O", "O", "O", "O", "O", "O", "O", "O", "O", "O", "O", "O", "O", "O", "O", "O", "O"],
  "fractional_positions": [[0.0767, 0.7830, 0.6420], [0.2170, 0.3580, 0.9233], [0.3580, 0.9233, 0.2170], [0.6420, 0.0767, 0.7830], [0.7830, 0.6420, 0.0767], [0.9233, 0.2170, 0.3580], [0.4045, 0.4045, 0.4045], [0.5955, 0.5955, 0.5955], [0.0731, 0.6409, 0.9267], [0.0733, 0.9269, 0.3591], [0.1964, 0.5209, 0.3045], [0.2051, 0.4993, 0.6446], [0.2116, 0.2116, 0.2116], [0.3045, 0.1964, 0.5209], [0.3554, 0.7949, 0.5007], [0.3591, 0.0733, 0.9269], [0.4791, 0.6955, 0.8036], [0.4993, 0.6446, 0.2051], [0.5007, 0.3554, 0.7949], [0.5209, 0.3045, 0.1964], [0.6409, 0.9267, 0.0731], [0.6446, 0.2051, 0.4993], [0.6955, 0.8036, 0.4791], [0.7884, 0.7884, 0.7884], [0.7949, 0.5007, 0.3554], [0.8036, 0.4791, 0.6955], [0.9267, 0.0731, 0.6409], [0.9269, 0.3591, 0.0733]]
}